Record 1
PBE+U LiCoP4O12, optimized geometry; E_form = -2.355 eV/atom; energy above the most stable polymorph in this dataset = 76 meV/atom; DFT total energy = -6.808 eV per atom
1.0
5.084 0.000 0.000
-2.422 6.728 0.000
-0.932 -2.887 6.892
O P Li Co
12 4 1 1
Cartesian
0.717 4.903 2.416
2.126 1.787 2.541
-0.389 1.834 4.325
4.288 1.061 1.311
-1.315 3.498 1.591
-1.372 5.953 1.302
-2.478 2.789 5.540
3.025 0.301 5.407
0.971 -0.886 4.464
2.321 2.101 0.066
-0.627 1.718 6.850
2.946 -2.168 5.571
3.119 2.054 1.489
-0.366 4.782 1.440
2.038 -0.933 5.476
-1.373 1.730 5.410
0.591 0.590 3.096
1.701 3.812 6.809

Record 2
PBE+U Li9Co7O16, optimized geometry; E_form = -1.695 eV/atom; energy above the most stable polymorph in this dataset = 61 meV/atom; DFT total energy = -5.558 eV per atom
1.0
-5.634 -0.786 -1.113
3.906 -3.809 -2.192
-0.985 -3.969 8.809
Li Co O
9 7 16
Cartesian
-2.240 -4.551 -0.432
0.571 -4.148 0.126
-0.473 -4.014 5.936
1.953 -1.905 -1.096
-3.284 -4.416 5.377
2.010 -5.987 1.934
-0.864 -2.298 -1.653
0.000 0.000 0.000
-4.723 -2.577 3.570
-1.365 -2.180 1.199
-2.817 -0.393 -0.556
0.048 -4.062 3.046
1.514 -5.981 4.861
-1.347 -6.384 4.305
-2.760 -4.502 2.458
-4.226 -2.583 0.643
-4.859 -4.499 6.684
-0.228 -2.035 2.903
-2.485 -6.529 2.601
1.651 -3.879 1.937
-1.166 -4.266 1.382
-1.546 -4.298 4.122
-0.151 -6.247 5.982
-0.441 -4.431 -1.668
0.308 -6.116 3.233
2.147 -4.065 -1.180
-2.561 -2.317 -0.478
-2.271 -4.133 7.172
-4.364 -4.685 3.567
-3.020 -2.448 2.271
-2.968 -6.460 5.292
0.255 -2.104 0.212